Below is an optimized crystal structure of Mn4P6O21, with properties calculated at the GGA+U level.

a = 7.5532 Å, b = 21.7893 Å, c = 12.1224 Å
α = 90.00°, β = 127.57°, γ = 90.00°
Fractional positions:
1 Mn 0.1712 0.2414 0.2118
2 Mn 0.1712 0.2586 0.7118
3 Mn 0.2171 0.7460 0.2776
4 Mn 0.2171 0.7540 0.7776
5 Mn 0.2776 0.5022 0.2360
6 Mn 0.2776 0.9978 0.7360
7 Mn 0.3097 0.5065 0.7530
8 Mn 0.3097 0.9935 0.2530
9 Mn 0.6903 0.0065 0.7470
10 Mn 0.6903 0.4935 0.2470
11 Mn 0.7224 0.0022 0.2640
12 Mn 0.7224 0.4978 0.7640
13 Mn 0.7829 0.2460 0.2224
14 Mn 0.7829 0.2540 0.7224
15 Mn 0.8288 0.7414 0.2882
16 Mn 0.8288 0.7586 0.7882
17 P 0.0984 0.1118 0.3328
18 P 0.0984 0.3882 0.8328
19 P 0.2095 0.0472 0.9648
20 P 0.2095 0.4528 0.4648
21 P 0.2230 0.5613 0.9723
22 P 0.2230 0.9387 0.4723
23 P 0.2609 0.1854 0.9951
24 P 0.2609 0.3146 0.4951
25 P 0.2975 0.6995 0.0560
26 P 0.2975 0.8005 0.5560
27 P 0.4124 0.1425 0.6595
28 P 0.4124 0.3575 0.1595
29 P 0.5876 0.6425 0.8405
30 P 0.5876 0.8575 0.3405
31 P 0.7025 0.1995 0.4440
32 P 0.7025 0.3005 0.9440
33 P 0.7391 0.6854 0.5049
34 P 0.7391 0.8146 0.0049
35 P 0.7770 0.0613 0.5277
36 P 0.7770 0.4387 0.0277
37 P 0.7905 0.5472 0.5352
38 P 0.7905 0.9528 0.0352
39 P 0.9016 0.6118 0.1672
40 P 0.9016 0.8882 0.6672
41 O 0.0216 0.1736 0.2501
42 O 0.0216 0.3264 0.7501
43 O 0.0234 0.0548 0.6043
44 O 0.0234 0.4452 0.1043
45 O 0.0344 0.5438 0.5960
46 O 0.0344 0.9562 0.0960
47 O 0.1014 0.5809 0.1879
48 O 0.1014 0.9191 0.6879
49 O 0.1040 0.2169 0.8509
50 O 0.1040 0.2831 0.3509
51 O 0.1546 0.7333 0.9132
52 O 0.1546 0.7667 0.4132
53 O 0.1637 0.1870 0.0721
54 O 0.1637 0.3130 0.5721
55 O 0.1870 0.7078 0.1250
56 O 0.1870 0.7922 0.6250
57 O 0.2212 0.0743 0.2942
58 O 0.2212 0.4257 0.7942
59 O 0.2591 0.1809 0.6765
60 O 0.2591 0.3191 0.1765
61 O 0.2698 0.1152 0.9552
62 O 0.2698 0.3848 0.4552
63 O 0.2723 0.1290 0.4950
64 O 0.2723 0.3710 0.9950
65 O 0.2763 0.0088 0.8908
66 O 0.2763 0.4912 0.3908
67 O 0.2918 0.6296 0.0238
68 O 0.2918 0.8704 0.5238
69 O 0.3159 0.5487 0.8936
70 O 0.3159 0.9513 0.3936
71 O 0.3538 0.5224 0.1089
72 O 0.3538 0.9776 0.6089
73 O 0.3633 0.0289 0.1225
74 O 0.3633 0.4711 0.6225
75 O 0.3758 0.6747 0.7962
76 O 0.3758 0.8253 0.2962
77 O 0.4651 0.2188 0.3672
78 O 0.4651 0.2812 0.8672
79 O 0.4727 0.0808 0.7375
80 O 0.4727 0.4192 0.2375
81 O 0.4969 0.7053 0.4262
82 O 0.4969 0.7947 0.9262
83 O 0.5031 0.2053 0.0738
84 O 0.5031 0.2947 0.5738
85 O 0.5273 0.5808 0.7625
86 O 0.5273 0.9192 0.2625
87 O 0.5349 0.7188 0.1328
88 O 0.5349 0.7812 0.6328
89 O 0.6242 0.1747 0.7038
90 O 0.6242 0.3253 0.2038
91 O 0.6367 0.5289 0.3775
92 O 0.6367 0.9711 0.8775
93 O 0.6462 0.0224 0.3911
94 O 0.6462 0.4776 0.8911
95 O 0.6841 0.0487 0.6064
96 O 0.6841 0.4513 0.1064
97 O 0.7082 0.1296 0.4762
98 O 0.7082 0.3704 0.9762
99 O 0.7237 0.5088 0.6092
100 O 0.7237 0.9912 0.1092
101 O 0.7277 0.6290 0.0050
102 O 0.7277 0.8710 0.5050
103 O 0.7302 0.6152 0.5448
104 O 0.7302 0.8848 0.0448
105 O 0.7409 0.6809 0.8235
106 O 0.7409 0.8191 0.3235
107 O 0.7788 0.5743 0.2058
108 O 0.7788 0.9257 0.7058
109 O 0.8130 0.2078 0.3750
110 O 0.8130 0.2922 0.8750
111 O 0.8363 0.6870 0.4279
112 O 0.8363 0.8130 0.9279
113 O 0.8454 0.2333 0.5868
114 O 0.8454 0.2667 0.0868
115 O 0.8960 0.7169 0.6491
116 O 0.8960 0.7831 0.1491
117 O 0.8986 0.0809 0.3121
118 O 0.8986 0.4191 0.8121
119 O 0.9656 0.0438 0.9040
120 O 0.9656 0.4562 0.4040
121 O 0.9766 0.5548 0.8957
122 O 0.9766 0.9452 0.3957
123 O 0.9784 0.6736 0.2499
124 O 0.9784 0.8264 0.7499

Energy of formation from the pure elements, meV per atom: -2249
SG: P2_1/c, No. 14
E (MP2020), eV/atom: -7.83
Theoretical density, Mg/m³: 3.115
M_tot, μB per formula unit: 0.5
VASP energy, eV for the cell shown: -886.6
Crystal system: monoclinic